1.
Entry from Materials Project: a relaxed Yb2TlZn crystal (r²SCAN).

Cell and atoms, written as POSCAR:
```
Yb2TlZn
1.0
0.000 3.600 3.600
3.600 0.000 3.600
3.600 3.600 0.000
Yb Tl Zn
2 1 1
Direct
0.250 0.250 0.250
0.750 0.750 0.750
0.000 0.000 0.000
0.500 0.500 0.500
```

Properties
Its total energy is -34.17 eV per atom. The total magnetization is 0.00 μB/f.u. The formation energy is -382.0 meV/atom. Its symmetry is Fm-3m, No. 225.

=====

2.
Entry from Materials Project: a relaxed Er2MgAl crystal (r²SCAN).

Cell and atoms, written as POSCAR:
```
Er2MgAl
1.0
0.000 3.626 3.626
3.626 0.000 3.626
3.626 3.626 0.000
Er Mg Al
2 1 1
Direct
0.250 0.250 0.250
0.750 0.750 0.750
0.000 0.000 0.000
0.500 0.500 0.500
```

Properties
Its total energy is -19.98 eV per atom. The total magnetization is 0.00 μB/f.u. The formation energy is -290.2 meV/atom. Its symmetry is Fm-3m, No. 225.

=====

3.
Entry from Materials Project: a relaxed CdPdF6 crystal (r²SCAN).

Cell and atoms, written as POSCAR:
```
CdPdF6
1.0
2.528 1.460 4.835
-2.528 1.460 4.835
0.000 -2.920 4.835
Cd Pd F
1 1 6
Direct
0.000 0.000 0.000
0.500 0.500 0.500
0.106 0.441 0.721
0.279 0.894 0.559
0.441 0.721 0.106
0.559 0.279 0.894
0.721 0.106 0.441
0.894 0.559 0.279
```

Properties
Its total energy is -9.55 eV per atom. The total magnetization is 0.00 μB/f.u. The formation energy is -1825.9 meV/atom. Its symmetry is R-3, No. 148.

=====

Question: What is the total magnetization in the second record?
Answer: 0.00 μB/f.u.